Record 1
A relaxed structure of RbSiBiS4, computed with PBE.

Values from the calculation:
* ΔH_f (0 K): -1.09 eV per atom
* VASP energy: -129.70 eV for the cell shown
* E (MP2020): -34.438 eV per formula unit

Lattice parameters (Å, degrees): 6.8904 6.5847 18.1979 72.02 90.00 90.00
Last column: nearest neighbours and their distance in Å.
Fractional positions:
Rb  0.2532  0.7098  0.0360  8 S 3.41-3.67
Rb  0.2468  0.7098  0.5360  8 S 3.41-3.67
Rb  0.7532  0.2902  0.4640  8 S 3.41-3.67
Rb  0.7468  0.2902  0.9640  8 S 3.41-3.67
Si  0.2708  0.2023  0.8406  4 S 2.12-2.17
Si  0.2292  0.2023  0.3406  4 S 2.12-2.17
Si  0.7708  0.7977  0.6594  4 S 2.12-2.17
Si  0.7292  0.7977  0.1594  4 S 2.12-2.17
Bi  0.8096  0.2392  0.2232  5 S 2.74-2.99
Bi  0.1904  0.7608  0.7768  5 S 2.74-2.99
Bi  0.6904  0.2392  0.7232  5 S 2.74-2.99
Bi  0.3096  0.7608  0.2768  5 S 2.74-2.99
S  0.5154  0.9909  0.6459  1 Si 2.14
S  0.1812  0.3977  0.2223  1 Si 2.17
S  0.4846  0.0091  0.3541  1 Si 2.14
S  0.0154  0.0091  0.8541  1 Si 2.14
S  0.3188  0.3977  0.7223  1 Si 2.17
S  0.2454  0.4086  0.9100  1 Si 2.13
S  0.7546  0.5914  0.0900  1 Si 2.13
S  0.8188  0.6023  0.7777  1 Si 2.17
S  0.7454  0.5914  0.5900  1 Si 2.13
S  0.2546  0.4086  0.4100  1 Si 2.13
S  0.5078  0.9867  0.8652  1 Si 2.12
S  0.0078  0.0133  0.6348  1 Si 2.12
S  0.4922  0.0133  0.1348  1 Si 2.12
S  0.9846  0.9909  0.1459  1 Si 2.14
S  0.9922  0.9867  0.3652  1 Si 2.12
S  0.6812  0.6023  0.2777  1 Si 2.17

Record 2
A relaxed structure of RbBi3Se5, computed with PBE.

Values from the calculation:
* ΔH_f (0 K): -0.83 eV per atom
* VASP energy: -141.10 eV for the cell shown
* polymorph energy (0 for the lowest one): 0.00 eV/f.u.
* E (MP2020): -37.634 eV per formula unit

Lattice parameters (Å, degrees): 4.2287 12.5923 22.2420 90.00 90.00 90.00
Last column: nearest neighbours and their distance in Å.
Fractional positions:
Rb  0.2500  0.4892  0.2122  8 Se 3.51-3.89
Rb  0.7500  0.5108  0.7878  8 Se 3.51-3.89
Rb  0.7500  0.9892  0.2878  8 Se 3.51-3.89
Rb  0.2500  0.0108  0.7122  8 Se 3.51-3.89
Bi  0.2500  0.3641  0.0249  6 Se 2.92-3.01
Bi  0.7500  0.6359  0.9751  6 Se 2.92-3.01
Bi  0.7500  0.8641  0.4751  6 Se 2.92-3.01
Bi  0.2500  0.1359  0.5249  6 Se 2.92-3.01
Bi  0.2500  0.8044  0.1285  4 Se 2.81-3.11
Bi  0.7500  0.1956  0.8715  4 Se 2.81-3.11
Bi  0.7500  0.3044  0.3715  4 Se 2.81-3.11
Bi  0.2500  0.6956  0.6285  4 Se 2.81-3.11
Bi  0.2500  0.5942  0.4234  5 Se 2.80-3.06
Bi  0.7500  0.4058  0.5766  5 Se 2.80-3.06
Bi  0.7500  0.0942  0.0766  5 Se 2.80-3.06
Bi  0.2500  0.9058  0.9234  5 Se 2.80-3.06
Se  0.2500  0.8069  0.3858  3 Bi 2.80-2.99
Se  0.7500  0.1931  0.6142  3 Bi 2.80-2.99
Se  0.7500  0.3069  0.1142  3 Bi 2.80-2.99
Se  0.2500  0.6931  0.8858  3 Bi 2.80-2.99
Se  0.2500  0.2482  0.2945  2 Bi 2.81
Se  0.7500  0.7518  0.7055  2 Bi 2.81
Se  0.7500  0.7482  0.2055  2 Bi 2.81
Se  0.2500  0.2518  0.7945  2 Bi 2.81
Se  0.2500  0.3614  0.4802  6 Bi 3.01-3.29
Se  0.7500  0.6386  0.5198  6 Bi 3.01-3.29
Se  0.7500  0.8614  0.0198  6 Bi 3.01-3.29
Se  0.2500  0.1386  0.9802  6 Bi 3.01-3.29
Se  0.2500  0.0268  0.1599  3 Bi 2.89-2.94
Se  0.7500  0.9732  0.8401  3 Bi 2.89-2.94
Se  0.7500  0.5268  0.3401  3 Bi 2.89-2.94
Se  0.2500  0.4732  0.6599  3 Bi 2.89-2.94
Se  0.2500  0.5850  0.0642  4 Bi 2.92-3.11
Se  0.7500  0.4150  0.9358  4 Bi 2.92-3.11
Se  0.7500  0.0850  0.4358  4 Bi 2.92-3.11
Se  0.2500  0.9150  0.5642  4 Bi 2.92-3.11

Record 3
A relaxed structure of Rb2Bi8Se13, computed with PBE.

Values from the calculation:
* ΔH_f (0 K): -0.79 eV per atom
* VASP energy: -181.14 eV for the cell shown
* E (MP2020): -96.708 eV per formula unit

Lattice parameters (Å, degrees): 4.2210 13.8937 25.2828 83.37 90.00 90.00
Last column: nearest neighbours and their distance in Å.
Fractional positions:
Rb  0.7500  0.4187  0.1190  7 Se 3.57-3.88
Rb  0.2500  0.5813  0.8810  7 Se 3.57-3.88
Rb  0.2500  0.2772  0.3617  9 Se 3.60-3.90
Rb  0.7500  0.7228  0.6383  9 Se 3.60-3.90
Bi  0.2500  0.5716  0.4363  5 Se 2.73-3.00
Bi  0.7500  0.4284  0.5637  5 Se 2.73-3.00
Bi  0.2500  0.8091  0.1693  6 Se 2.84-3.16
Bi  0.7500  0.1909  0.8307  6 Se 2.84-3.16
Bi  0.7500  0.0463  0.0700  6 Se 2.93-3.06
Bi  0.2500  0.9537  0.9300  6 Se 2.93-3.06
Bi  0.7500  0.8834  0.3076  5 Se 2.78-3.03
Bi  0.2500  0.1166  0.6924  5 Se 2.78-3.03
Bi  0.7500  0.5636  0.2675  3 Se 2.76-2.81
Bi  0.2500  0.4364  0.7325  3 Se 2.76-2.81
Bi  0.7500  0.7228  0.0321  3 Se 2.81-2.88
Bi  0.2500  0.2772  0.9679  3 Se 2.81-2.88
Bi  0.2500  0.1250  0.2124  3 Se 2.80-2.88
Bi  0.7500  0.8750  0.7876  3 Se 2.80-2.88
Bi  0.2500  0.9501  0.4405  6 Se 2.80-3.13
Bi  0.7500  0.0499  0.5595  6 Se 2.80-3.13
Se  0.2500  0.3878  0.4878  3 Bi 2.73-2.95
Se  0.7500  0.6122  0.5122  3 Bi 2.73-2.95
Se  0.7500  0.4836  0.3726  3 Bi 2.76-3.00
Se  0.2500  0.5164  0.6274  3 Bi 2.76-3.00
Se  0.2500  0.4465  0.2388  2 Bi 2.81
Se  0.7500  0.5535  0.7612  2 Bi 2.81
Se  0.2500  0.7411  0.2797  3 Bi 2.84-3.03
Se  0.7500  0.2589  0.7203  3 Bi 2.84-3.03
Se  0.7500  0.6765  0.1460  3 Bi 2.88-2.91
Se  0.2500  0.3235  0.8540  3 Bi 2.88-2.91
Se  0.2500  0.5932  0.0212  2 Bi 2.81
Se  0.7500  0.4068  0.9788  2 Bi 2.81
Se  0.2500  0.8965  0.0484  6 Bi 3.01-3.27
Se  0.7500  0.1035  0.9516  6 Bi 3.01-3.27
Se  0.2500  0.1852  0.0878  4 Bi 2.93-3.16
Se  0.7500  0.8148  0.9122  4 Bi 2.93-3.16
Se  0.7500  0.2464  0.2351  2 Bi 2.80
Se  0.2500  0.7536  0.7649  2 Bi 2.80
Se  0.7500  0.9633  0.1825  6 Bi 2.94-3.24
Se  0.2500  0.0367  0.8175  6 Bi 2.94-3.24
Se  0.2500  0.9008  0.5509  3 Bi 2.80-2.98
Se  0.7500  0.0992  0.4491  3 Bi 2.80-2.98
Se  0.2500  0.1902  0.5856  3 Bi 2.78-3.00
Se  0.7500  0.8098  0.4144  3 Bi 2.78-3.00
Se  0.7500  0.9735  0.6807  4 Bi 2.88-3.13
Se  0.2500  0.0265  0.3193  4 Bi 2.88-3.13

Record 4
A relaxed structure of RbBi3Se5, computed with PBE.

Values from the calculation:
* ΔH_f (0 K): -0.81 eV per atom
* VASP energy: -210.31 eV for the cell shown
* polymorph energy (0 for the lowest one): 0.22 eV/f.u.
* E (MP2020): -37.411 eV per formula unit

Lattice parameters (Å, degrees): 18.6444 18.6444 25.0757 60.48 60.48 13.47
Last column: nearest neighbours and their distance in Å.
Fractional positions:
Rb  0.8266  0.8266  0.6925  8 Se 3.56-3.85
Rb  0.1734  0.1734  0.3075  8 Se 3.56-3.85
Rb  0.5226  0.5226  0.2885  7 Se 3.55-3.73
Rb  0.4774  0.4774  0.7115  7 Se 3.55-3.73
Rb  0.3386  0.3386  0.1518  8 Se 3.48-3.73
Rb  0.6614  0.6614  0.8482  8 Se 3.48-3.73
Bi  0.8431  0.8431  0.8401  4 Se 2.83-3.15
Bi  0.1569  0.1569  0.1599  4 Se 2.83-3.15
Bi  0.6114  0.6114  0.0618  6 Se 2.85-3.16
Bi  0.3886  0.3886  0.9382  6 Se 2.85-3.16
Bi  0.6945  0.6945  0.5082  6 Se 2.90-3.06
Bi  0.3055  0.3055  0.4918  6 Se 2.90-3.06
Bi  0.4564  0.4564  0.1605  6 Se 2.87-3.07
Bi  0.5436  0.5436  0.8395  6 Se 2.87-3.07
Bi  0.7772  0.7772  0.0544  3 Se 2.77-2.85
Bi  0.2228  0.2228  0.9456  3 Se 2.77-2.85
Bi  0.8881  0.8881  0.3240  3 Se 2.74-2.88
Bi  0.1119  0.1119  0.6760  3 Se 2.74-2.88
Bi  0.9113  0.9113  0.4850  6 Se 2.83-3.16
Bi  0.0887  0.0887  0.5150  6 Se 2.83-3.16
Bi  0.5000  0.5000  0.5000  6 Se 2.97-2.98
Bi  0.7251  0.7251  0.6581  4 Se 2.82-2.98
Bi  0.2749  0.2749  0.3419  4 Se 2.82-2.98
Bi  0.0000  0.0000  0.0000  6 Se 2.94-2.97
Se  0.8134  0.8134  0.5612  4 Bi 2.90-3.15
Se  0.1866  0.1866  0.4388  4 Bi 2.90-3.15
Se  0.6033  0.6033  0.5933  5 Bi 2.97-3.16
Se  0.3967  0.3967  0.4067  5 Bi 2.97-3.16
Se  0.6300  0.6300  0.2424  2 Bi 2.83
Se  0.3700  0.3700  0.7576  2 Bi 2.83
Se  0.9702  0.9702  0.2347  1 Bi 2.74
Se  0.0298  0.0298  0.7653  1 Bi 2.74
Se  0.8582  0.8582  0.0326  3 Bi 2.77-3.00
Se  0.1418  0.1418  0.9674  3 Bi 2.77-3.00
Se  0.7875  0.7875  0.4230  6 Bi 3.02-3.30
Se  0.2125  0.2125  0.5770  6 Bi 3.02-3.30
Se  0.5921  0.5921  0.4387  3 Bi 2.87-2.97
Se  0.4079  0.4079  0.5613  3 Bi 2.87-2.97
Se  0.7642  0.7642  0.2802  2 Bi 2.82
Se  0.2358  0.2358  0.7198  2 Bi 2.82
Se  0.9242  0.9242  0.1212  3 Bi 2.89-2.94
Se  0.0758  0.0758  0.8788  3 Bi 2.89-2.94
Se  0.5324  0.5324  0.0449  4 Bi 2.87-3.16
Se  0.4676  0.4676  0.9551  4 Bi 2.87-3.16
Se  0.9993  0.9993  0.4200  3 Bi 2.83-2.98
Se  0.0007  0.0007  0.5800  3 Bi 2.83-2.98
Se  0.2482  0.2482  0.1382  3 Bi 2.85-3.15
Se  0.7518  0.7518  0.8618  3 Bi 2.85-3.15
Se  0.9171  0.9171  0.8482  3 Bi 2.84-2.94
Se  0.0829  0.0829  0.1518  3 Bi 2.84-2.94
Se  0.6915  0.6915  0.0520  3 Bi 2.85-3.19
Se  0.3085  0.3085  0.9480  3 Bi 2.85-3.19
Se  0.3674  0.3674  0.2695  4 Bi 2.88-3.07
Se  0.6326  0.6326  0.7305  4 Bi 2.88-3.07

Record 5
A relaxed structure of Rb2Bi4Se7, computed with PBE.

Values from the calculation:
* ΔH_f (0 K): -0.89 eV per atom
* VASP energy: -100.57 eV for the cell shown
* E (MP2020): -53.588 eV per formula unit

Lattice parameters (Å, degrees): 4.2608 13.2324 15.3798 87.21 90.00 90.00
Last column: nearest neighbours and their distance in Å.
Fractional positions:
Rb  0.2500  0.5657  0.8128  8 Se 3.46-3.78
Rb  0.7500  0.4343  0.1872  8 Se 3.46-3.78
Rb  0.7500  0.8185  0.6296  6 Se 3.46-3.70
Rb  0.2500  0.1815  0.3704  6 Se 3.46-3.70
Bi  0.2500  0.8356  0.2788  6 Se 2.90-3.08
Bi  0.7500  0.1644  0.7212  6 Se 2.90-3.08
Bi  0.7500  0.6100  0.4312  6 Se 2.88-3.06
Bi  0.2500  0.3900  0.5688  6 Se 2.88-3.06
Bi  0.7500  0.7279  0.0485  4 Se 2.82-2.99
Bi  0.2500  0.2721  0.9515  4 Se 2.82-2.99
Bi  0.2500  0.9416  0.8761  5 Se 2.83-3.02
Bi  0.7500  0.0584  0.1239  5 Se 2.83-3.02
Se  0.2500  0.5901  0.0357  2 Bi 2.82
Se  0.7500  0.4099  0.9643  2 Bi 2.82
Se  0.7500  0.9947  0.3021  3 Bi 2.83-3.03
Se  0.2500  0.0053  0.6979  3 Bi 2.83-3.03
Se  0.7500  0.6916  0.2414  4 Bi 2.93-3.06
Se  0.2500  0.3084  0.7586  4 Bi 2.93-3.06
Se  0.7500  0.7876  0.8584  3 Bi 2.97-2.99
Se  0.2500  0.2124  0.1416  3 Bi 2.97-2.99
Se  0.2500  0.9048  0.0848  6 Bi 3.02-3.23
Se  0.7500  0.0952  0.9152  6 Bi 3.02-3.23
Se  0.2500  0.7621  0.4595  3 Bi 2.90-2.98
Se  0.7500  0.2379  0.5405  3 Bi 2.90-2.98
Se  0.2500  0.4593  0.3884  3 Bi 2.88-3.01
Se  0.7500  0.5407  0.6116  3 Bi 2.88-3.01